(1)
An optimized crystal structure of Na6FeO4, computed with PBE with a Hubbard U.

a = 5.4138 Å, b = 10.7398 Å, c = 10.7391 Å
α = 90.00°, β = 90.00°, γ = 90.00°
Closest atoms and distances in Å follow each position.
Atoms (fractional coordinates):
Na: 0.6541 0.2500 0.0000  4 O 2.28-2.39
Na: 0.6541 0.7500 0.5000  4 O 2.28-2.39
Na: 0.1541 0.2500 0.0000  4 O 2.28-2.39
Na: 0.1541 0.7500 0.5000  4 O 2.28-2.39
Na: 0.3459 0.7500 0.0000  4 O 2.28-2.39
Na: 0.3459 0.2500 0.5000  4 O 2.28-2.39
Na: 0.8459 0.7500 0.0000  4 O 2.28-2.39
Na: 0.8459 0.2500 0.5000  4 O 2.28-2.39
Na: 0.7500 0.2900 0.2500  4 O 2.41
Na: 0.7500 0.7900 0.7500  4 O 2.41
Na: 0.7500 0.5000 0.4598  4 O 2.41
Na: 0.7500 0.0000 0.9598  4 O 2.41
Na: 0.7500 0.5000 0.0402  4 O 2.41
Na: 0.7500 0.0000 0.5402  4 O 2.41
Na: 0.7500 0.7100 0.2500  4 O 2.41
Na: 0.7500 0.2100 0.7500  4 O 2.41
Na: 0.2500 0.2904 0.7500  4 O 2.41
Na: 0.2500 0.7904 0.2500  4 O 2.41
Na: 0.2500 0.5000 0.9596  4 O 2.41
Na: 0.2500 0.0000 0.4596  4 O 2.41
Na: 0.2500 0.5000 0.5403  4 O 2.41
Na: 0.2500 0.0000 0.0404  4 O 2.41
Na: 0.2500 0.7096 0.7500  4 O 2.41
Na: 0.2500 0.2096 0.2500  4 O 2.41
Fe: 0.2500 0.0000 0.7500  4 O 2.11
Fe: 0.7500 0.9999 0.2500  4 O 2.11
Fe: 0.2500 0.5000 0.2500  4 O 2.11
Fe: 0.7500 0.5000 0.7500  4 O 2.11
O: 0.9215 0.6245 0.6255  1 Fe 2.11, 1 Na 2.28
O: 0.9215 0.1245 0.1254  1 Fe 2.11, 1 Na 2.28
O: 0.4215 0.6246 0.3745  1 Fe 2.11, 1 Na 2.28
O: 0.4215 0.1246 0.8746  1 Fe 2.11, 1 Na 2.28
O: 0.4215 0.3754 0.1254  1 Fe 2.11, 1 Na 2.28
O: 0.4215 0.8754 0.6254  1 Fe 2.11, 1 Na 2.28
O: 0.9215 0.3755 0.8746  1 Fe 2.11, 1 Na 2.28
O: 0.9215 0.8755 0.3746  1 Fe 2.11, 1 Na 2.28
O: 0.0785 0.6246 0.1254  1 Fe 2.11, 1 Na 2.28
O: 0.0785 0.1246 0.6254  1 Fe 2.11, 1 Na 2.28
O: 0.5786 0.3755 0.6255  1 Fe 2.11, 1 Na 2.28
O: 0.5785 0.8755 0.1255  1 Fe 2.11, 1 Na 2.28
O: 0.5785 0.6245 0.8745  1 Fe 2.11, 1 Na 2.28
O: 0.5785 0.1245 0.3746  1 Fe 2.11, 1 Na 2.28
O: 0.0785 0.3754 0.3746  1 Fe 2.11, 1 Na 2.28
O: 0.0785 0.8754 0.8746  1 Fe 2.11, 1 Na 2.28

=====

(2)
An optimized crystal structure of La2MgCo2Sb2Pb2O12, computed with PBE with a Hubbard U.

Summary:
energy above the most stable polymorph in this dataset: 141.9 kJ/mol of formula units
symmetry: P1 (1)
crystal system: triclinic

a = 5.6979 Å, b = 6.1580 Å, c = 8.5204 Å
α = 91.85°, β = 92.18°, γ = 90.85°
Closest atoms and distances in Å follow each position.
Atoms (fractional coordinates):
La: 0.0000 0.0000 0.0000  6 O 2.38-2.57
La: 0.4674 0.6488 0.4501  7 O 2.46-2.71
Mg: 0.8592 0.4128 0.8000  4 O 1.99-2.16
Co: 0.0084 0.7497 0.6434  3 O 1.96-1.97
Co: 0.4556 0.1019 0.2615  4 O 2.16-2.36
Sb: 0.4442 0.0967 0.7108  6 O 2.02-2.06
Sb: 0.9431 0.5774 0.2217  6 O 2.02-2.05
Pb: 0.4124 0.5246 0.9948  7 O 2.50-2.74
Pb: 0.9152 0.1327 0.4478  3 O 2.42-2.62
O: 0.0421 0.5643 0.4535  1 Co 1.97, 1 Sb 2.04
O: 0.1291 0.3040 0.1753  1 Sb 2.04
O: 0.1644 0.2592 0.7992  1 Mg 1.99, 1 Sb 2.05
O: 0.2324 0.7723 0.1929  1 Sb 2.05
O: 0.2639 0.8379 0.7936  1 Co 1.96, 1 Sb 2.04
O: 0.3209 0.0332 0.4886  1 Sb 2.02, 1 Co 2.16
O: 0.6008 0.3706 0.6367  1 Mg 1.99, 1 Sb 2.03
O: 0.6399 0.4102 0.2499  1 Sb 2.02, 1 Co 2.16
O: 0.6492 0.1662 0.9064  1 Sb 2.03, 1 Mg 2.16
O: 0.6969 0.8829 0.6403  1 Co 1.97, 1 Sb 2.06
O: 0.7564 0.8555 0.2567  1 Sb 2.05
O: 0.8745 0.6144 0.9875  1 Mg 1.99, 1 Sb 2.04

=====

(3)
An optimized crystal structure of Al2NiO4, computed with PBE with a Hubbard U.

Summary:
energy above the most stable polymorph in this dataset: 15.6 kJ/mol of formula units
symmetry: I4_1md (109)
crystal system: tetragonal

a = 5.7536 Å, b = 5.7536 Å, c = 5.7536 Å
α = 119.29°, β = 119.29°, γ = 91.24°
Closest atoms and distances in Å follow each position.
Atoms (fractional coordinates):
Al: 0.2484 0.0000 0.2484  6 O 1.92-1.94
Al: 0.7500 0.0016 0.2516  6 O 1.92-1.94
Al: 0.7500 0.4984 0.7484  6 O 1.92-1.94
Al: 0.7516 0.0000 0.7516  6 O 1.92-1.94
Ni: 0.1306 0.6306 0.5000  4 O 1.96-1.98
Ni: 0.3806 0.3806 0.0000  4 O 1.96-1.98
O: 0.5107 0.2257 0.7150  3 Al 1.93-1.94, 1 Ni 1.96
O: 0.5107 0.7958 0.2850  3 Al 1.93-1.94, 1 Ni 1.96
O: 0.5153 0.2374 0.2779  3 Al 1.92-1.94, 1 Ni 1.98
O: 0.5458 0.7607 0.7850  3 Al 1.93-1.94, 1 Ni 1.96
O: 0.9596 0.2374 0.7221  3 Al 1.92-1.94, 1 Ni 1.98
O: 0.9757 0.7607 0.2150  3 Al 1.93-1.94, 1 Ni 1.96
O: 0.9874 0.2096 0.2221  3 Al 1.92-1.94, 1 Ni 1.98
O: 0.9874 0.7653 0.7779  3 Al 1.92-1.94, 1 Ni 1.98

=====

Number 1: E_tot -4.30 eV per atom, energy relative to the elements -1462 meV/atom. Number 2: E_tot -6.36 eV per atom, energy relative to the elements -2111 meV/atom. Number 3: E_tot -6.75 eV per atom, energy relative to the elements -2780 meV/atom.